Entry from Materials Project: a relaxed structure of Na3LaTi2Nb2O12 (GGA-PBE).

The space group is C2 (No. 5) and the conventional cell measures 7.861, 7.924 and 7.911 Å, with angles of 90.00, 90.12 and 90.00 degrees. The inequivalent atoms are Na at (0.000, 0.000, 0.000), Na at (0.000, 0.006, 0.500), Na at (0.000, 0.506, 0.500), La at (0.000, 0.491, 0.000), Ti at (0.250, 0.250, 0.245), Nb at (0.250, 0.251, 0.738), O at (0.002, 0.278, 0.274), O at (0.002, 0.732, 0.792), O at (0.214, 0.260, 0.003), O at (0.217, 0.755, 0.503), O at (0.237, 0.007, 0.240) and O at (0.238, 0.003, 0.760).

=====

Entry from Materials Project: a relaxed structure of NaLaZrNbO6 (GGA-PBE).

The space group is F-43m (No. 216) and the conventional cell measures 8.221, 8.221 and 8.221 Å, with angles of 90.00, 90.00 and 90.00 degrees. The inequivalent atoms are Na at (0.000, 0.000, 0.000), La at (0.000, 0.000, 0.500), Zr at (0.250, 0.250, 0.750), Nb at (0.250, 0.250, 0.250) and O at (0.004, 0.250, 0.250).

=====

| no. | calculated formation energy (meV per atom) |
| --- | --- |
| 1 | -3127 |
| 2 | -3212 |